# 1
CuC8N2Cl4: optimized geometry, PBE-GGA.

Lattice parameters (Å, degrees): 9.7166 9.0412 13.8832 90.00 90.00 90.00
Closest atoms and distances in Å follow each position.
Fractional coordinates of all 60 atoms:
Cu 0.2218 0.2500 0.0894  3 Cl 2.14-2.28
Cu 0.2782 0.7500 0.5894  3 Cl 2.14-2.28
Cu 0.7218 0.2500 0.4106  3 Cl 2.14-2.28
Cu 0.7782 0.7500 0.9106  3 Cl 2.14-2.28
C 0.0268 0.2500 0.6046  3 C 1.45-1.51
C 0.0824 0.6390 0.3677  1 C 1.51, 1 N 1.53
C 0.0824 0.8610 0.3677  1 C 1.51, 1 N 1.53
C 0.1047 0.2500 0.6938  1 C 1.45, 1 N 1.54
C 0.1418 0.6495 0.8676  1 N 1.48, 1 C 1.50
C 0.1418 0.8505 0.8676  1 N 1.48, 1 C 1.50
C 0.1755 0.7500 0.9787  1 N 1.47, 1 C 1.50
C 0.2393 0.2500 0.3887  3 C 1.50, 1 Cl 1.67
C 0.2607 0.7500 0.8887  3 C 1.50, 1 Cl 1.67
C 0.3245 0.2500 0.4787  1 N 1.47, 1 C 1.50
C 0.3582 0.1495 0.3676  1 N 1.48, 1 C 1.50
C 0.3582 0.3505 0.3676  1 N 1.48, 1 C 1.50
C 0.3953 0.7500 0.1938  1 C 1.45, 1 N 1.54
C 0.4176 0.1390 0.8677  1 C 1.51, 1 N 1.53
C 0.4176 0.3610 0.8677  1 C 1.51, 1 N 1.53
C 0.4732 0.7500 0.1046  3 C 1.45-1.51
C 0.5268 0.2500 0.8954  3 C 1.45-1.51
C 0.5824 0.6390 0.1323  1 C 1.51, 1 N 1.53
C 0.5824 0.8610 0.1323  1 C 1.51, 1 N 1.53
C 0.6047 0.2500 0.8062  1 C 1.45, 1 N 1.54
C 0.6418 0.6495 0.6324  1 N 1.48, 1 C 1.50
C 0.6418 0.8505 0.6324  1 N 1.48, 1 C 1.50
C 0.6755 0.7500 0.5213  1 N 1.47, 1 C 1.50
C 0.7393 0.2500 0.1113  3 C 1.50, 1 Cl 1.67
C 0.7607 0.7500 0.6113  3 C 1.50, 1 Cl 1.67
C 0.8245 0.2500 0.0213  1 N 1.47, 1 C 1.50
C 0.8582 0.1495 0.1324  1 N 1.48, 1 C 1.50
C 0.8582 0.3505 0.1324  1 N 1.48, 1 C 1.50
C 0.8953 0.7500 0.3062  1 C 1.45, 1 N 1.54
C 0.9176 0.1390 0.6323  1 C 1.51, 1 N 1.53
C 0.9176 0.3610 0.6323  1 C 1.51, 1 N 1.53
C 0.9732 0.7500 0.3954  3 C 1.45-1.51
N 0.0489 0.7500 0.9211  3 C 1.47-1.48
N 0.0512 0.7500 0.2875  4 C 1.53-1.68
N 0.4488 0.2500 0.7875  4 C 1.53-1.68
N 0.4511 0.2500 0.4211  3 C 1.47-1.48
N 0.5489 0.7500 0.5789  3 C 1.47-1.48
N 0.5512 0.7500 0.2125  4 C 1.53-1.68
N 0.9488 0.2500 0.7125  4 C 1.53-1.68
N 0.9511 0.2500 0.0789  3 C 1.47-1.48
Cl 0.0714 0.2500 0.3628  1 C 1.67
Cl 0.2320 0.2500 0.9254  2 C 2.21, 1 Cu 2.28
Cl 0.2425 0.0258 0.1369  1 Cu 2.14
Cl 0.2425 0.4742 0.1369  1 Cu 2.14
Cl 0.2575 0.5258 0.6369  1 Cu 2.14
Cl 0.2575 0.9742 0.6369  1 Cu 2.14
Cl 0.2680 0.7500 0.4254  2 C 2.21, 1 Cu 2.28
Cl 0.4286 0.7500 0.8628  1 C 1.67
Cl 0.5714 0.2500 0.1372  1 C 1.67
Cl 0.7320 0.2500 0.5746  2 C 2.21, 1 Cu 2.28
Cl 0.7425 0.0258 0.3631  1 Cu 2.14
Cl 0.7425 0.4742 0.3631  1 Cu 2.14
Cl 0.7575 0.5258 0.8631  1 Cu 2.14
Cl 0.7575 0.9742 0.8631  1 Cu 2.14
Cl 0.7680 0.7500 0.0746  2 C 2.21, 1 Cu 2.28
Cl 0.9286 0.7500 0.6372  1 C 1.67

## Properties
The size of the total moment comes out at 1.001 μB per formula unit. Its final energy is -5.325 eV per atom.

---

# 2
Zn2Cu2CNCl7: optimized geometry, PBE-GGA.

Lattice parameters (Å, degrees): 6.3141 6.6781 16.7209 90.00 111.64 90.00
Closest atoms and distances in Å follow each position.
Fractional coordinates of all 26 atoms:
Zn 0.0000 0.1622 0.0000  4 Cl 2.25-2.38
Zn 0.0000 0.8378 0.5000  4 Cl 2.25-2.38
Zn 0.6435 0.3077 0.1311  4 Cl 2.25-2.38
Zn 0.6435 0.6923 0.6311  4 Cl 2.25-2.38
Cu 0.1405 0.3067 0.6302  3 Cl 2.19-2.35
Cu 0.1405 0.6933 0.1302  3 Cl 2.19-2.35
Cu 0.7461 0.1788 0.7590  4 Cl 2.20-2.39
Cu 0.7461 0.8212 0.2590  4 Cl 2.20-2.39
C 0.3933 0.3125 0.3410  1 N 1.18
C 0.3933 0.6875 0.8410  1 N 1.18
N 0.5137 0.3393 0.4129  1 C 1.18
N 0.5137 0.6607 0.9129  1 C 1.18
Cl 0.1168 0.1584 0.5079  1 Cu 2.23, 1 Zn 2.25
Cl 0.1168 0.8416 0.0079  1 Cu 2.23, 1 Zn 2.25
Cl 0.2597 0.3394 0.1191  2 Zn 2.37-2.38, 1 Cu 2.51
Cl 0.2597 0.6606 0.6191  2 Zn 2.37-2.38, 1 Cu 2.51
Cl 0.3928 0.2053 0.7531  2 Cu 2.19-2.20
Cl 0.3928 0.7947 0.2531  2 Cu 2.19-2.20
Cl 0.6454 0.1779 0.0071  2 Zn 2.25-2.29
Cl 0.6454 0.8221 0.5071  2 Zn 2.25-2.29
Cl 0.7840 0.3582 0.6415  2 Cu 2.35-2.39, 1 Zn 2.38
Cl 0.7840 0.6418 0.1415  2 Cu 2.35-2.39, 1 Zn 2.38
Cl 0.8405 0.1500 0.2549  1 Zn 2.25, 1 Cu 2.28
Cl 0.8405 0.8500 0.7549  1 Zn 2.25, 1 Cu 2.28
Cl 0.9965 0.3188 0.8800  1 Zn 2.26, 1 Cu 2.26
Cl 0.9965 0.6812 0.3800  1 Zn 2.26, 1 Cu 2.26

## Properties
The size of the total moment comes out at 2.012 μB per formula unit. Its final energy is -3.535 eV per atom.

---

# 3
EuH32C8N4Cl7: optimized geometry, PBE-GGA.

Lattice parameters (Å, degrees): 10.5582 13.5159 8.8579 90.00 90.00 90.00
Closest atoms and distances in Å follow each position.
Fractional coordinates of all 104 atoms:
Eu 0.0000 0.0000 0.0706  6 Cl 2.73-2.74
Eu 0.5000 0.5000 0.9294  6 Cl 2.73-2.74
H 0.0160 0.6411 0.8140  1 C 1.09
H 0.0329 0.6435 0.0959  1 C 1.09
H 0.0766 0.0936 0.6145  1 C 1.09
H 0.1001 0.4373 0.1209  1 C 1.09
H 0.1005 0.3170 0.2039  1 C 1.09
H 0.1105 0.2439 0.9621  1 N 1.04
H 0.1128 0.4451 0.8260  1 C 1.09
H 0.1335 0.3309 0.7288  1 C 1.09
H 0.1574 0.2375 0.4540  1 C 1.09
H 0.1665 0.9816 0.6138  1 C 1.09
H 0.1782 0.0662 0.3754  1 N 1.03
H 0.1781 0.5579 0.5425  1 N 1.06
H 0.1884 0.7284 0.4620  1 C 1.09
H 0.2063 0.7169 0.6616  1 C 1.09
H 0.2273 0.3260 0.9770  1 N 1.04
H 0.2289 0.0895 0.7029  1 C 1.09
H 0.2711 0.5895 0.2971  1 C 1.09
H 0.2727 0.8260 0.0230  1 N 1.04
H 0.2937 0.2169 0.3384  1 C 1.09
H 0.3116 0.2284 0.5380  1 C 1.09
H 0.3219 0.0579 0.4575  1 N 1.06
H 0.3218 0.5662 0.6246  1 N 1.03
H 0.3335 0.4816 0.3862  1 C 1.09
H 0.3426 0.7375 0.5460  1 C 1.09
H 0.3665 0.8309 0.2712  1 C 1.09
H 0.3872 0.9451 0.1740  1 C 1.09
H 0.3895 0.7439 0.0379  1 N 1.04
H 0.3995 0.8170 0.7961  1 C 1.09
H 0.3999 0.9373 0.8791  1 C 1.09
H 0.4234 0.5936 0.3855  1 C 1.09
H 0.4671 0.1435 0.9041  1 C 1.09
H 0.4840 0.1411 0.1860  1 C 1.09
H 0.5160 0.8589 0.1860  1 C 1.09
H 0.5329 0.8565 0.9041  1 C 1.09
H 0.5766 0.4064 0.3855  1 C 1.09
H 0.6001 0.0627 0.8791  1 C 1.09
H 0.6005 0.1830 0.7961  1 C 1.09
H 0.6105 0.2561 0.0379  1 N 1.04
H 0.6128 0.0549 0.1740  1 C 1.09
H 0.6335 0.1691 0.2712  1 C 1.09
H 0.6574 0.2625 0.5460  1 C 1.09
H 0.6665 0.5184 0.3862  1 C 1.09
H 0.6782 0.4338 0.6246  1 N 1.03
H 0.6781 0.9421 0.4575  1 N 1.06
H 0.6884 0.7716 0.5380  1 C 1.09
H 0.7063 0.7831 0.3384  1 C 1.09
H 0.7273 0.1740 0.0230  1 N 1.04
H 0.7289 0.4105 0.2971  1 C 1.09
H 0.7711 0.9105 0.7029  1 C 1.09
H 0.7727 0.6740 0.9770  1 N 1.04
H 0.7937 0.2831 0.6616  1 C 1.09
H 0.8116 0.2716 0.4620  1 C 1.09
H 0.8219 0.4421 0.5425  1 N 1.06
H 0.8218 0.9338 0.3754  1 N 1.03
H 0.8335 0.0184 0.6138  1 C 1.09
H 0.8426 0.7625 0.4540  1 C 1.09
H 0.8665 0.6691 0.7288  1 C 1.09
H 0.8872 0.5549 0.8260  1 C 1.09
H 0.8895 0.7561 0.9621  1 N 1.04
H 0.8995 0.6830 0.2039  1 C 1.09
H 0.8999 0.5627 0.1209  1 C 1.09
H 0.9234 0.9064 0.6145  1 C 1.09
H 0.9671 0.3565 0.0959  1 C 1.09
H 0.9840 0.3589 0.8140  1 C 1.09
C 0.0700 0.3606 0.1066  3 H 1.09
C 0.0864 0.3670 0.8239  3 H 1.09
C 0.1719 0.0624 0.6087  3 H 1.09
C 0.2499 0.2013 0.4478  3 H 1.09
C 0.2501 0.7013 0.5522  3 H 1.09
C 0.3281 0.5624 0.3913  3 H 1.09
C 0.4136 0.8670 0.1761  3 H 1.09
C 0.4300 0.8606 0.8934  3 H 1.09
C 0.5700 0.1394 0.8934  3 H 1.09
C 0.5864 0.1330 0.1761  3 H 1.09
C 0.6719 0.4376 0.3913  3 H 1.09
C 0.7499 0.2987 0.5522  3 H 1.09
C 0.7501 0.7987 0.4478  3 H 1.09
C 0.8281 0.9376 0.6087  3 H 1.09
C 0.9136 0.6330 0.8239  3 H 1.09
C 0.9300 0.6394 0.1066  3 H 1.09
N 0.1297 0.3192 0.9670  2 H 1.04
N 0.2323 0.0924 0.4638  2 H 1.03-1.06
N 0.2677 0.5924 0.5362  2 H 1.03-1.06
N 0.3703 0.8192 0.0330  2 H 1.04
N 0.6297 0.1808 0.0330  2 H 1.04
N 0.7323 0.4076 0.5362  2 H 1.03-1.06
N 0.7677 0.9076 0.4638  2 H 1.03-1.06
N 0.8703 0.6808 0.9670  2 H 1.04
Cl 0.0000 0.5000 0.4810  2 H 2.11
Cl 0.0794 0.8794 0.2993  1 Eu 2.73, 3 H 2.75-2.90
Cl 0.0856 0.8590 0.8728  2 H 2.42-2.62
Cl 0.2308 0.0929 0.0622  3 H 2.56-2.85, 1 Eu 2.74
Cl 0.2692 0.5929 0.9378  3 H 2.56-2.85, 1 Eu 2.74
Cl 0.4144 0.3590 0.1272  2 H 2.42-2.62
Cl 0.4206 0.3794 0.7007  1 Eu 2.73, 3 H 2.75-2.90
Cl 0.5000 0.0000 0.5190  2 H 2.11
Cl 0.5794 0.6206 0.7007  1 Eu 2.73, 3 H 2.75-2.90
Cl 0.5856 0.6410 0.1272  2 H 2.42-2.62
Cl 0.7308 0.4071 0.9378  3 H 2.56-2.85, 1 Eu 2.74
Cl 0.7692 0.9071 0.0622  3 H 2.56-2.85, 1 Eu 2.74
Cl 0.9144 0.1410 0.8728  2 H 2.42-2.62
Cl 0.9206 0.1206 0.2993  1 Eu 2.73, 3 H 2.75-2.90

## Properties
The size of the total moment comes out at 5.998 μB per formula unit. Its final energy is -5.043 eV per atom.

---

Q: Which of these has the highest size of the total moment?
A: EuH32C8N4Cl7

---

Q: Look up the final energy of the second one.
A: -3.535 eV per atom